Material: MnSnRh2
Method: DFT, PBE
State: relaxed

Results
ρ in g/cm³: 10.0
ΔH_f (0 K) in kcal/mol of atoms: -10.03
E in eV/atom: -7.4101

abc: 6.307 6.307 6.307
angles: 90.00 90.00 90.00
Space group Fm-3m (No. 225)
Asymmetric unit:
1 Mn 0.000 0.000 0.000 x4
2 Sn 0.000 0.000 0.500 x4
3 Rh 0.250 0.250 0.250 x8